Record 1
Material: Li5Ti2Mn3O10
Method: DFT, GGA+U
State: relaxed

Output
The energy above the lowest structure with this stoichiometry comes out at 3 meV/atom. Its space group is P1 (1).

```
Li5Ti2Mn3O10
1.0
5.2392 -0.1461 -0.0519
-0.9029 5.1950 0.2170
1.2364 -0.9462 14.3923
Li Ti Mn O
10 4 6 20
Direct
0.0188 0.6947 0.1992 Li
0.5188 0.1946 0.6994 Li
0.0000 0.9036 0.3918 Li
0.4995 0.4037 0.8914 Li
0.2515 0.2430 0.2527 Li
0.7516 0.7430 0.7528 Li
0.4814 0.8025 0.3020 Li
0.9815 0.3027 0.8019 Li
0.4960 0.5946 0.1109 Li
0.9965 0.0945 0.6113 Li
0.7548 0.3743 0.3438 Ti
0.2571 0.8741 0.8439 Ti
0.7445 0.1253 0.1576 Ti
0.2423 0.6255 0.6574 Ti
0.4994 0.0009 0.5009 Mn
0.2379 0.4396 0.4491 Mn
0.7411 0.9387 0.9493 Mn
0.9958 0.4992 0.9998 Mn
0.2594 0.0602 0.0523 Mn
0.7564 0.5612 0.5523 Mn
0.6336 0.6498 0.4153 O
0.1362 0.1509 0.9160 O
0.8651 0.0573 0.2713 O
0.3653 0.5576 0.7712 O
0.8460 0.2152 0.4674 O
0.3424 0.7172 0.9677 O
0.0995 0.3781 0.1159 O
0.6016 0.8809 0.6167 O
0.0980 0.5604 0.3264 O
0.5984 0.0606 0.8262 O
0.4003 0.9383 0.1749 O
0.9000 0.4381 0.6751 O
0.3960 0.1212 0.3844 O
0.8938 0.6186 0.8836 O
0.6497 0.2843 0.0333 O
0.1535 0.7824 0.5330 O
0.6333 0.4408 0.2297 O
0.1331 0.9405 0.7298 O
0.8640 0.8494 0.0855 O
0.3613 0.3484 0.5848 O
```

=====

Record 2
Material: Li2TiMn2O6
Method: DFT, GGA+U
State: relaxed

Output
The energy above the lowest structure with this stoichiometry comes out at 15 meV/atom. Its space group is P2_1/c (14).

```
Li2TiMn2O6
1.0
-8.1521 -1.3742 6.2008
-3.6375 -5.4410 -5.9880
1.8624 -8.8741 0.4818
Li Ti Mn O
12 6 12 36
Direct
0.2780 0.6188 0.4457 Li
0.2327 0.1049 0.1319 Li
0.2295 0.4194 0.8031 Li
0.7295 0.0806 0.1969 Li
0.7327 0.3951 0.8681 Li
0.7780 0.8812 0.5543 Li
0.2220 0.1188 0.4457 Li
0.2673 0.6049 0.1319 Li
0.2705 0.9194 0.8031 Li
0.7705 0.5806 0.1969 Li
0.7673 0.8951 0.8681 Li
0.7220 0.3812 0.5543 Li
0.5134 0.8244 0.3385 Ti
0.0134 0.6756 0.6615 Ti
0.5000 0.5000 0.0000 Ti
0.9866 0.3244 0.3385 Ti
0.4866 0.1756 0.6615 Ti
0.0000 0.0000 0.0000 Ti
0.0021 0.6700 0.3361 Mn
0.4950 0.1619 0.0066 Mn
0.5027 0.4938 0.6726 Mn
0.9950 0.3381 0.9934 Mn
0.0027 0.0062 0.3274 Mn
0.4979 0.1700 0.3361 Mn
0.5021 0.8300 0.6639 Mn
0.9973 0.9938 0.6726 Mn
0.0050 0.6619 0.0066 Mn
0.4973 0.5062 0.3274 Mn
0.5050 0.8381 0.9934 Mn
0.9979 0.3300 0.6639 Mn
0.6099 0.6144 0.4205 O
0.5989 0.9538 0.1153 O
0.6055 0.2844 0.7603 O
0.1095 0.5725 0.5511 O
0.1018 0.2214 0.8857 O
0.1029 0.9186 0.2050 O
0.9017 0.4551 0.7535 O
0.9099 0.7860 0.4437 O
0.8933 0.1320 0.0811 O
0.3933 0.3680 0.9189 O
0.4017 0.0449 0.2465 O
0.4099 0.7140 0.5563 O
0.6018 0.2786 0.1143 O
0.6029 0.5814 0.7950 O
0.6095 0.9275 0.4489 O
0.1055 0.2156 0.2397 O
0.0989 0.5462 0.8847 O
0.1099 0.8856 0.5795 O
0.8901 0.1144 0.4205 O
0.9011 0.4538 0.1153 O
0.8945 0.7844 0.7603 O
0.3905 0.0725 0.5511 O
0.3971 0.4186 0.2050 O
0.3982 0.7214 0.8857 O
0.5901 0.2860 0.4437 O
0.5983 0.9551 0.7535 O
0.6067 0.6320 0.0811 O
0.1067 0.8680 0.9189 O
0.0901 0.2140 0.5563 O
0.0983 0.5449 0.2465 O
0.8971 0.0814 0.7950 O
0.8982 0.7786 0.1143 O
0.8905 0.4275 0.4489 O
0.3945 0.7156 0.2397 O
0.4011 0.0462 0.8847 O
0.3901 0.3856 0.5795 O
```

=====

Record 3
Material: Li4TiMn5O12
Method: DFT, GGA+U
State: relaxed

Output
Its space group is C2/m (12).

```
Li4TiMn5O12
1.0
4.4191 2.6419 0.0000
-4.4191 2.6419 0.0000
0.0000 0.3722 10.2489
Li Ti Mn O
4 1 5 12
Direct
0.6421 0.1394 0.7505 Li
0.8606 0.3579 0.2495 Li
0.1394 0.6421 0.7505 Li
0.3579 0.8606 0.2495 Li
0.0000 0.0000 0.0000 Ti
0.8359 0.1641 0.5000 Mn
0.3351 0.6649 0.0000 Mn
0.6649 0.3351 0.0000 Mn
0.1641 0.8359 0.5000 Mn
0.5000 0.5000 0.5000 Mn
0.6932 0.0348 0.1102 O
0.9652 0.3068 0.8898 O
0.5286 0.1654 0.3922 O
0.1654 0.5286 0.3922 O
0.8346 0.4714 0.6078 O
0.1691 0.1691 0.5909 O
0.4714 0.8346 0.6078 O
0.0348 0.6932 0.1102 O
0.3238 0.3238 0.0933 O
0.3068 0.9652 0.8898 O
0.6762 0.6762 0.9067 O
0.8309 0.8309 0.4091 O
```

=====

Record 4
Material: Li3TiMn3O8
Method: DFT, GGA+U
State: relaxed

Output
The energy above the lowest structure with this stoichiometry comes out at 7 meV/atom. Its space group is P-1 (2).

```
Li3TiMn3O8
1.0
3.5330 4.0520 2.7220
6.9540 -4.1771 -2.6395
-0.0808 2.9843 -5.2582
Li Ti Mn O
6 2 6 16
Direct
0.7494 0.7504 0.2496 Li
0.2506 0.2496 0.7504 Li
0.0000 0.5000 0.5000 Li
0.5000 0.0000 0.0000 Li
0.2503 0.2494 0.2498 Li
0.7496 0.7506 0.7502 Li
0.9999 0.0000 0.0000 Ti
0.4999 0.5000 0.5000 Ti
0.7499 0.2512 0.2489 Mn
0.2502 0.7488 0.7511 Mn
0.0000 0.9998 0.4999 Mn
0.5001 0.5000 0.0002 Mn
0.2498 0.7507 0.2505 Mn
0.7504 0.2494 0.7496 Mn
0.5084 0.2662 0.0199 O
0.0090 0.7670 0.5217 O
0.9910 0.2330 0.4782 O
0.4916 0.7338 0.9801 O
0.2552 0.5192 0.2736 O
0.7545 0.0186 0.7742 O
0.2455 0.9814 0.2259 O
0.7446 0.4809 0.7265 O
0.5291 0.2660 0.4899 O
0.0293 0.7658 0.9904 O
0.9707 0.2342 0.0096 O
0.4709 0.7341 0.5101 O
0.7912 0.9883 0.2380 O
0.2909 0.4885 0.7386 O
0.7092 0.5115 0.2613 O
0.2087 0.0117 0.7619 O
```

=====

Record 5
Material: Li3TiMn2O6
Method: DFT, GGA+U
State: relaxed

Output
The energy above the lowest structure with this stoichiometry comes out at 0 meV/atom. Its space group is P1 (1).

```
Li3TiMn2O6
1.0
-3.8824 4.3151 -1.1393
4.7565 -0.8973 -4.4477
-5.6636 -3.6750 -2.4210
Li Ti Mn O
6 2 4 12
Direct
0.5834 0.8329 0.3321 Li
0.0835 0.8330 0.3324 Li
0.2565 0.5154 0.0227 Li
0.7463 0.5115 0.0263 Li
0.9101 0.1509 0.6437 Li
0.4205 0.1548 0.6401 Li
0.8351 0.3360 0.3325 Ti
0.3314 0.3308 0.3346 Ti
0.4996 0.9934 0.0040 Mn
0.1633 0.6712 0.6834 Mn
0.0035 0.9956 0.9833 Mn
0.6667 0.6733 0.6629 Mn
0.8506 0.2502 0.0447 O
0.3795 0.2465 0.0432 O
0.3164 0.4166 0.6221 O
0.7869 0.4204 0.6236 O
0.5507 0.9100 0.6698 O
0.0188 0.9080 0.6652 O
0.6160 0.7571 0.9978 O
0.1478 0.7589 0.0021 O
0.1959 0.5555 0.3250 O
0.6982 0.5634 0.3277 O
0.9707 0.1111 0.3416 O
0.4687 0.1034 0.3392 O
```

=====

Record 6
Material: Li3TiMn3O8
Method: DFT, GGA+U
State: relaxed

Output
The energy above the lowest structure with this stoichiometry comes out at 0 meV/atom. Its space group is P-1 (2).

```
Li3TiMn3O8
1.0
-3.2487 3.9503 -2.9552
-2.6942 -5.1770 1.8161
-2.4221 7.1290 12.5834
Li Ti Mn O
9 3 9 24
Direct
0.3419 0.1743 0.3356 Li
0.1675 0.8342 0.1685 Li
0.0000 0.5000 0.0000 Li
0.8325 0.1658 0.8315 Li
0.1713 0.3437 0.6688 Li
0.6581 0.8257 0.6644 Li
0.0000 0.0000 0.5000 Li
0.8287 0.6563 0.3312 Li
0.5000 0.0000 0.0000 Li
0.6626 0.3427 0.6633 Ti
0.3374 0.6573 0.3367 Ti
0.0000 0.0000 0.0000 Ti
0.8332 0.6662 0.8332 Mn
0.5000 0.0000 0.5000 Mn
0.8298 0.1687 0.3299 Mn
0.6654 0.8344 0.1662 Mn
0.1668 0.3338 0.1668 Mn
0.5000 0.5000 0.0000 Mn
0.3346 0.1656 0.8338 Mn
0.1702 0.8313 0.6701 Mn
0.0000 0.5000 0.5000 Mn
0.1361 0.8259 0.9201 O
0.6991 0.3363 0.4129 O
0.9596 0.4834 0.7506 O
0.5015 0.9610 0.2574 O
0.8086 0.1580 0.5834 O
0.3598 0.6697 0.0819 O
0.1513 0.3572 0.4081 O
0.6508 0.8439 0.4161 O
0.6998 0.8433 0.9148 O
0.1750 0.3001 0.9249 O
0.9718 0.9957 0.2492 O
0.4699 0.4927 0.2560 O
0.5301 0.5073 0.7440 O
0.0282 0.0043 0.7508 O
0.8250 0.6999 0.0751 O
0.3002 0.1567 0.0852 O
0.3492 0.1561 0.5839 O
0.8487 0.6428 0.5919 O
0.6402 0.3303 0.9181 O
0.1914 0.8420 0.4166 O
0.4985 0.0390 0.7426 O
0.0404 0.5166 0.2494 O
0.3009 0.6637 0.5871 O
0.8639 0.1741 0.0799 O
```

=====

Number 1: energy relative to the elements -2.595 eV per atom. Number 2: energy relative to the elements -2.455 eV per atom. Number 3: energy relative to the elements -2.230 eV per atom. Number 4: energy relative to the elements -2.381 eV per atom. Number 5: energy relative to the elements -2.486 eV per atom. Number 6: energy relative to the elements -2.387 eV per atom.